(1)
TbP after structural relaxation, computed with meta-GGA r2SCAN.

Properties
Uncorrected energy (eV/f.u.): -43.94
Crystal system: cubic
Calculated volume (Å³/f.u.): 46.2
Space group: Fm-3m
Formation enthalpy at 0 K (eV/atom): -1.858

abc: 4.0280 4.0280 4.0280
angles: 60.00 60.00 60.00
Last column: nearest neighbours and their distance in Å.
Fractional positions:
Tb 0.0000 0.0000 0.0000  6 P 2.85
P 0.5000 0.5000 0.5000  6 Tb 2.85

(2)
TcP3 after structural relaxation, computed with meta-GGA r2SCAN.

Properties
Uncorrected energy (eV/f.u.): -55.01
Crystal system: orthorhombic
Calculated volume (Å³/f.u.): 61.5
Space group: Pnma
Formation enthalpy at 0 K (eV/atom): -0.511

abc: 15.3642 3.1174 5.1332
angles: 90.00 90.00 90.00
Last column: nearest neighbours and their distance in Å.
Fractional positions:
Tc 0.1503 0.2500 0.1489  6 P 2.35-2.46
Tc 0.3497 0.7500 0.6489  6 P 2.35-2.46
Tc 0.6503 0.2500 0.3511  6 P 2.35-2.46
Tc 0.8497 0.7500 0.8511  6 P 2.35-2.46
P 0.0125 0.2500 0.3534  3 P 2.20, 1 Tc 2.36
P 0.1184 0.7500 0.8207  2 P 2.20-2.22, 2 Tc 2.35
P 0.2067 0.7500 0.4779  1 P 2.22, 3 Tc 2.37-2.46
P 0.2933 0.2500 0.9779  1 P 2.22, 3 Tc 2.37-2.46
P 0.3816 0.2500 0.3207  2 P 2.20-2.22, 2 Tc 2.35
P 0.4875 0.7500 0.8534  3 P 2.20, 1 Tc 2.36
P 0.5125 0.2500 0.1466  3 P 2.20, 1 Tc 2.36
P 0.6184 0.7500 0.6793  2 P 2.20-2.22, 2 Tc 2.35
P 0.7067 0.7500 0.0221  1 P 2.22, 3 Tc 2.37-2.46
P 0.7933 0.2500 0.5221  1 P 2.22, 3 Tc 2.37-2.46
P 0.8816 0.2500 0.1793  2 P 2.20-2.22, 2 Tc 2.35
P 0.9875 0.7500 0.6466  3 P 2.20, 1 Tc 2.36

(3)
TcP4 after structural relaxation, computed with meta-GGA r2SCAN.

Properties
Uncorrected energy (eV/f.u.): -64.35
Crystal system: orthorhombic
Calculated volume (Å³/f.u.): 78.4
Space group: Pbca
Formation enthalpy at 0 K (eV/atom): -0.476

abc: 6.2568 9.2380 10.8461
angles: 90.00 90.00 90.00
Last column: nearest neighbours and their distance in Å.
Fractional positions:
Tc 0.1213 0.1090 0.0757  6 P 2.33-2.55
Tc 0.1213 0.3910 0.5757  6 P 2.33-2.55
Tc 0.3787 0.6090 0.0757  6 P 2.33-2.55
Tc 0.3787 0.8910 0.5757  6 P 2.33-2.55
Tc 0.6213 0.1090 0.4243  6 P 2.33-2.55
Tc 0.6213 0.3910 0.9243  6 P 2.33-2.55
Tc 0.8787 0.6090 0.4243  6 P 2.33-2.55
Tc 0.8787 0.8910 0.9243  6 P 2.33-2.55
P 0.0026 0.2075 0.4303  2 P 2.21-2.25, 1 Tc 2.43
P 0.0026 0.2925 0.9303  2 P 2.21-2.25, 1 Tc 2.43
P 0.0601 0.2176 0.7358  3 P 2.18-2.25, 1 Tc 2.39
P 0.0601 0.2824 0.2358  3 P 2.18-2.25, 1 Tc 2.39
P 0.1899 0.5537 0.7388  3 P 2.18-2.20, 1 Tc 2.36
P 0.1899 0.9463 0.2388  3 P 2.18-2.20, 1 Tc 2.36
P 0.2420 0.5433 0.4187  2 P 2.19-2.21, 2 Tc 2.33-2.35
P 0.2420 0.9567 0.9187  2 P 2.19-2.21, 2 Tc 2.33-2.35
P 0.2580 0.0433 0.4187  2 P 2.19-2.21, 2 Tc 2.33-2.35
P 0.2580 0.4567 0.9187  2 P 2.19-2.21, 2 Tc 2.33-2.35
P 0.3101 0.0537 0.7388  3 P 2.18-2.20, 1 Tc 2.36
P 0.3101 0.4463 0.2388  3 P 2.18-2.20, 1 Tc 2.36
P 0.4399 0.7176 0.7358  3 P 2.18-2.25, 1 Tc 2.39
P 0.4399 0.7824 0.2358  3 P 2.18-2.25, 1 Tc 2.39
P 0.4974 0.7075 0.4303  2 P 2.21-2.25, 1 Tc 2.43
P 0.4974 0.7925 0.9303  2 P 2.21-2.25, 1 Tc 2.43
P 0.5026 0.2075 0.0697  2 P 2.21-2.25, 1 Tc 2.43
P 0.5026 0.2925 0.5697  2 P 2.21-2.25, 1 Tc 2.43
P 0.5601 0.2176 0.7642  3 P 2.18-2.25, 1 Tc 2.39
P 0.5601 0.2824 0.2642  3 P 2.18-2.25, 1 Tc 2.39
P 0.6899 0.5537 0.7612  3 P 2.18-2.20, 1 Tc 2.36
P 0.6899 0.9463 0.2612  3 P 2.18-2.20, 1 Tc 2.36
P 0.7420 0.5433 0.0813  2 P 2.19-2.21, 2 Tc 2.33-2.35
P 0.7420 0.9567 0.5813  2 P 2.19-2.21, 2 Tc 2.33-2.35
P 0.7580 0.0433 0.0813  2 P 2.19-2.21, 2 Tc 2.33-2.35
P 0.7580 0.4567 0.5813  2 P 2.19-2.21, 2 Tc 2.33-2.35
P 0.8101 0.0537 0.7612  3 P 2.18-2.20, 1 Tc 2.36
P 0.8101 0.4463 0.2612  3 P 2.18-2.20, 1 Tc 2.36
P 0.9399 0.7176 0.7642  3 P 2.18-2.25, 1 Tc 2.39
P 0.9399 0.7824 0.2642  3 P 2.18-2.25, 1 Tc 2.39
P 0.9974 0.7075 0.0697  2 P 2.21-2.25, 1 Tc 2.43
P 0.9974 0.7925 0.5697  2 P 2.21-2.25, 1 Tc 2.43

(4)
Ti2Te2P after structural relaxation, computed with meta-GGA r2SCAN.

Properties
Uncorrected energy (eV/f.u.): -90.81
Crystal system: trigonal
Calculated volume (Å³/f.u.): 114.8
Space group: R-3m
Formation enthalpy at 0 K (eV/atom): -1.020

abc: 10.1653 10.1653 10.1653
angles: 20.69 20.69 20.69
Last column: nearest neighbours and their distance in Å.
Fractional positions:
Ti 0.1222 0.1222 0.1222  3 P 2.49, 3 Te 2.78
Ti 0.8778 0.8778 0.8778  3 P 2.49, 3 Te 2.78
Te 0.2717 0.2717 0.2717  3 Ti 2.78
Te 0.7283 0.7283 0.7283  3 Ti 2.78
P 0.5000 0.5000 0.5000  6 Ti 2.49

(5)
UTeP after structural relaxation, computed with meta-GGA r2SCAN.

Properties
Uncorrected energy (eV/f.u.): -117.26
Crystal system: tetragonal
Calculated volume (Å³/f.u.): 72.9
Space group: I4/mmm
Formation enthalpy at 0 K (eV/atom): -0.965

abc: 9.0353 9.0353 9.0353
angles: 153.59 153.59 37.70
Last column: nearest neighbours and their distance in Å.
Fractional positions:
U 0.1090 0.1090 0.0000  4 P 2.78
U 0.8910 0.8910 0.0000  4 P 2.78
Te 0.3174 0.3174 0.0000  4 U 3.18
Te 0.6826 0.6826 0.0000  4 U 3.18
P 0.0000 0.5000 0.5000  4 U 2.78, 4 P 2.92
P 0.5000 0.0000 0.5000  4 U 2.78, 4 P 2.92

(6)
Zr2Te2P after structural relaxation, computed with meta-GGA r2SCAN.

Properties
Uncorrected energy (eV/f.u.): -111.73
Crystal system: trigonal
Calculated volume (Å³/f.u.): 130.3
Space group: R-3m
Formation enthalpy at 0 K (eV/atom): -1.279

abc: 10.3935 10.3935 10.3935
angles: 21.34 21.34 21.34
Last column: nearest neighbours and their distance in Å.
Fractional positions:
Zr 0.1192 0.1192 0.1192  3 P 2.65, 3 Te 2.91
Zr 0.8808 0.8808 0.8808  3 P 2.65, 3 Te 2.91
Te 0.2759 0.2759 0.2759  3 Zr 2.91
Te 0.7241 0.7241 0.7241  3 Zr 2.91
P 0.5000 0.5000 0.5000  6 Zr 2.65

(7)
Th3P4 after structural relaxation, computed with meta-GGA r2SCAN.

Properties
Uncorrected energy (eV/f.u.): -267.73
Crystal system: cubic
Calculated volume (Å³/f.u.): 163.1
Space group: I-43d
Formation enthalpy at 0 K (eV/atom): -1.613

abc: 7.5106 7.5106 7.5106
angles: 109.47 109.47 109.47
Last column: nearest neighbours and their distance in Å.
Fractional positions:
Th 0.1250 0.7500 0.8750  8 P 2.95-3.05
Th 0.2500 0.6250 0.3750  8 P 2.95-3.05
Th 0.3750 0.2500 0.6250  8 P 2.95-3.05
Th 0.6250 0.3750 0.2500  8 P 2.95-3.05
Th 0.7500 0.8750 0.1250  8 P 2.95-3.05
Th 0.8750 0.1250 0.7500  8 P 2.95-3.05
P 0.0000 0.3437 0.5000  6 Th 2.95-3.05, 3 P 3.27
P 0.0000 0.8437 0.5000  6 Th 2.95-3.05, 3 P 3.27
P 0.1563 0.1563 0.1563  6 Th 2.95-3.05, 3 P 3.27
P 0.3437 0.5000 0.0000  6 Th 2.95-3.05, 3 P 3.27
P 0.5000 0.0000 0.3437  6 Th 2.95-3.05, 3 P 3.27
P 0.5000 0.0000 0.8437  6 Th 2.95-3.05, 3 P 3.27
P 0.6563 0.6563 0.6563  6 Th 2.95-3.05, 3 P 3.27
P 0.8437 0.5000 0.0000  6 Th 2.95-3.05, 3 P 3.27

(8)
ThP after structural relaxation, computed with meta-GGA r2SCAN.

Properties
Uncorrected energy (eV/f.u.): -85.94
Crystal system: cubic
Calculated volume (Å³/f.u.): 50.5
Space group: Fm-3m
Formation enthalpy at 0 K (eV/atom): -1.731

abc: 4.1489 4.1489 4.1489
angles: 60.00 60.00 60.00
Last column: nearest neighbours and their distance in Å.
Fractional positions:
Th 0.0000 0.0000 0.0000  6 P 2.93
P 0.5000 0.5000 0.5000  6 Th 2.93